Entry from the Materials Project: a relaxed structure of Fe2O3 (GGA+U).

abc: 10.6840 9.8028 10.6703
angles: 96.55 91.45 101.08
Element x y z (fractional)
O 0.0369 0.6694 0.9094
O 0.7706 0.0894 0.4191
O 0.8493 0.9178 0.8118
O 0.2312 0.6200 0.6292
O 0.9983 0.5284 0.6971
O 0.2479 0.1851 0.9992
O 0.2870 0.0709 0.6357
O 0.1025 0.8476 0.7233
O 0.5217 0.2791 0.4376
O 0.3357 0.5432 0.9819
O 0.5509 0.0977 0.9614
O 0.5987 0.7929 0.9553
O 0.3069 0.8064 0.1754
O 0.6402 0.5082 0.9836
O 0.0648 0.4776 0.3978
O 0.0853 0.9421 0.0306
O 0.2665 0.7757 0.8846
O 0.7961 0.5673 0.4913
O 0.7300 0.6042 0.2240
O 0.5071 0.7056 0.2218
O 0.0952 0.6235 0.1389
O 0.4231 0.3095 0.8642
O 0.8709 0.6855 0.0411
O 0.5395 0.0330 0.2342
O 0.9070 0.1097 0.0029
O 0.0271 0.1950 0.2536
O 0.1607 0.3217 0.7363
O 0.5248 0.5757 0.4505
O 0.8858 0.3127 0.8441
O 0.6726 0.4071 0.6916
O 0.1005 0.3623 0.0190
O 0.5085 0.3403 0.1611
O 0.2941 0.5059 0.2985
O 0.7456 0.3256 0.2939
O 0.9113 0.3221 0.5321
O 0.6832 0.7760 0.6080
O 0.7345 0.1074 0.6948
O 0.3293 0.8109 0.4633
O 0.0537 0.7035 0.2524
O 0.7596 0.8662 0.1500
O 0.4486 0.8730 0.7045
O 0.5330 0.6045 0.7378
O 0.2858 0.2421 0.2786
O 0.5786 0.8734 0.4381
O 0.8277 0.8207 0.3892
O 0.1446 0.2669 0.4855
O 0.9734 0.0477 0.5576
O 0.8482 0.3902 0.0878
Fe 0.4848 0.7545 0.5550
Fe 0.9685 0.4739 0.9907
Fe 0.6996 0.6953 0.0528
Fe 0.1330 0.6649 0.7659
Fe 0.4189 0.6963 0.8760
Fe 0.6789 0.7943 0.7917
Fe 0.6512 0.5547 0.5852
Fe 0.2431 0.3516 0.9075
Fe 0.6471 0.7068 0.3518
Fe 0.6914 0.4114 0.1418
Fe 0.1456 0.1503 0.6226
Fe 0.8864 0.7626 0.2256
Fe 0.8145 0.3173 0.6836
Fe 0.9527 0.1582 0.4204
Fe 0.6333 0.9827 0.0794
Fe 0.8489 0.1142 0.8457
Fe 0.3366 0.6097 0.1552
Fe 0.8767 0.4427 0.4018
Fe 0.4445 0.8748 0.3039
Fe 0.5631 0.0530 0.7776
Fe 0.1863 0.6597 0.3913
Fe 0.0741 0.1610 0.0714
Fe 0.4296 0.2119 0.0137
Fe 0.9950 0.8594 0.8749
Fe 0.1050 0.4323 0.5944
Fe 0.6344 0.1749 0.3590
Fe 0.5589 0.4464 0.8226
Fe 0.1659 0.3403 0.3201
Fe 0.1762 0.7917 0.0438
Fe 0.2732 0.8830 0.6420
Fe 0.7837 0.9460 0.5306
Fe 0.4423 0.3783 0.3301

E_tot = -6.330 eV per atom
calculated formation energy = -1155.0 meV/atom
crystal system = triclinic